Material: LiMnF3
Method: DFT, PBE with a Hubbard U
State: relaxed

Calculated values
Distance to the lowest polymorph of the same formula ... 50 meV per atom
Uncorrected energy ... -114.53 eV/cell
ΔE_f ... -2.9742 eV/atom

a = 3.8031 Å, b = 10.2250 Å, c = 6.9453 Å
α = 90.00°, β = 92.68°, γ = 90.00°
Closest atoms and distances in Å follow each position.
Atoms (fractional coordinates):
Li: 0.2279 0.0446 0.2082  4 F 1.85-2.05
Li: 0.2279 0.4554 0.7082  4 F 1.85-2.05
Li: 0.7721 0.5446 0.2918  4 F 1.85-2.05
Li: 0.7721 0.9554 0.7918  4 F 1.85-2.05
Mn: 0.2518 0.7207 0.0199  5 F 2.07-2.15
Mn: 0.2518 0.7793 0.5199  5 F 2.07-2.15
Mn: 0.7482 0.2207 0.4801  5 F 2.07-2.15
Mn: 0.7482 0.2793 0.9801  5 F 2.07-2.15
F: 0.2104 0.6353 0.7372  1 Li 1.85
F: 0.2104 0.8647 0.2372  1 Li 1.85
F: 0.2468 0.1441 0.4436  1 Li 1.92, 2 Mn 2.07-2.08
F: 0.2468 0.3559 0.9436  1 Li 1.92, 2 Mn 2.07-2.08
F: 0.2809 0.6080 0.3417  2 Li 2.02-2.05, 1 Mn 2.15
F: 0.2809 0.8920 0.8417  2 Li 2.02-2.05, 1 Mn 2.15
F: 0.7191 0.1080 0.1583  2 Li 2.02-2.05, 1 Mn 2.15
F: 0.7191 0.3920 0.6583  2 Li 2.02-2.05, 1 Mn 2.15
F: 0.7532 0.6441 0.0564  1 Li 1.92, 2 Mn 2.07-2.08
F: 0.7532 0.8559 0.5564  1 Li 1.92, 2 Mn 2.07-2.08
F: 0.7896 0.1353 0.7628  1 Li 1.85
F: 0.7896 0.3647 0.2628  1 Li 1.85

***

Material: LiMnF3
Method: DFT, PBE with a Hubbard U
State: relaxed

Calculated values
Distance to the lowest polymorph of the same formula ... 73 meV per atom
Uncorrected energy ... -171.11 eV/cell
ΔE_f ... -2.9516 eV/atom

a = 8.9836 Å, b = 8.9836 Å, c = 8.9836 Å
α = 112.27°, β = 112.27°, γ = 112.27°
Closest atoms and distances in Å follow each position.
Atoms (fractional coordinates):
Li: 0.2177 0.4156 0.5645  4 F 1.86-2.00
Li: 0.4156 0.5645 0.2177  4 F 1.86-2.00
Li: 0.4355 0.7823 0.5844  4 F 1.86-2.00
Li: 0.5645 0.2177 0.4156  4 F 1.86-2.00
Li: 0.5844 0.4355 0.7823  4 F 1.86-2.00
Li: 0.7823 0.5844 0.4355  4 F 1.86-2.00
Mn: 0.0168 0.4939 0.1854  5 F 2.05-2.16
Mn: 0.1854 0.0168 0.4939  5 F 2.05-2.16
Mn: 0.4939 0.1854 0.0168  5 F 2.05-2.16
Mn: 0.5061 0.8146 0.9832  5 F 2.05-2.16
Mn: 0.8146 0.9832 0.5061  5 F 2.05-2.16
Mn: 0.9832 0.5061 0.8146  5 F 2.05-2.16
F: 0.0276 0.1410 0.4653  1 Li 1.94, 2 Mn 2.11-2.16
F: 0.1410 0.4653 0.0276  1 Li 1.94, 2 Mn 2.11-2.16
F: 0.1914 0.5847 0.7601  1 Li 2.00, 2 Mn 2.05-2.10
F: 0.2096 0.4889 0.3952  2 Li 1.86-1.97, 1 Mn 2.05
F: 0.2399 0.8086 0.4153  1 Li 2.00, 2 Mn 2.05-2.10
F: 0.3952 0.2096 0.4889  2 Li 1.86-1.97, 1 Mn 2.05
F: 0.4153 0.2399 0.8086  1 Li 2.00, 2 Mn 2.05-2.10
F: 0.4653 0.0276 0.1410  1 Li 1.94, 2 Mn 2.11-2.16
F: 0.4889 0.3952 0.2096  2 Li 1.86-1.97, 1 Mn 2.05
F: 0.5111 0.6048 0.7904  2 Li 1.86-1.97, 1 Mn 2.05
F: 0.5347 0.9724 0.8590  1 Li 1.94, 2 Mn 2.11-2.16
F: 0.5847 0.7601 0.1914  1 Li 2.00, 2 Mn 2.05-2.10
F: 0.6048 0.7904 0.5111  2 Li 1.86-1.97, 1 Mn 2.05
F: 0.7601 0.1914 0.5847  1 Li 2.00, 2 Mn 2.05-2.10
F: 0.7904 0.5111 0.6048  2 Li 1.86-1.97, 1 Mn 2.05
F: 0.8086 0.4153 0.2399  1 Li 2.00, 2 Mn 2.05-2.10
F: 0.8590 0.5347 0.9724  1 Li 1.94, 2 Mn 2.11-2.16
F: 0.9724 0.8590 0.5347  1 Li 1.94, 2 Mn 2.11-2.16

***

Material: LiMnF3
Method: DFT, PBE with a Hubbard U
State: relaxed

Calculated values
Distance to the lowest polymorph of the same formula ... 11 meV per atom
Uncorrected energy ... -172.96 eV/cell
ΔE_f ... -3.0133 eV/atom

a = 5.9376 Å, b = 5.9376 Å, c = 11.6770 Å
α = 90.00°, β = 90.00°, γ = 120.00°
Closest atoms and distances in Å follow each position.
Atoms (fractional coordinates):
Li: 0.0004 0.3257 0.0000  5 F 1.93-2.05
Li: 0.0017 0.6713 0.5018  5 F 1.96-2.04
Li: 0.3253 0.9996 0.0000  5 F 1.93-2.05
Li: 0.3287 0.3304 0.5018  5 F 1.96-2.04
Li: 0.6696 0.9983 0.5018  5 F 1.96-2.04
Li: 0.6743 0.6747 0.0000  5 F 1.93-2.05
Mn: 0.0000 0.0000 0.2527  6 F 2.18-2.20
Mn: 0.0000 0.0000 0.7469  6 F 2.18-2.19
Mn: 0.3333 0.6667 0.2845  7 F 2.14-2.25
Mn: 0.3333 0.6667 0.7836  7 F 2.14-2.23
Mn: 0.6667 0.3333 0.2176  7 F 2.14-2.23
Mn: 0.6667 0.3333 0.7188  7 F 2.14-2.22
F: 0.0000 0.0000 0.0019  3 Li 1.93
F: 0.0000 0.0000 0.5044  3 Li 1.96
F: 0.0408 0.6853 0.6737  1 Li 2.02, 3 Mn 2.18-2.22
F: 0.0434 0.3562 0.1748  1 Li 2.05, 3 Mn 2.20-2.23
F: 0.3128 0.9566 0.1748  1 Li 2.05, 3 Mn 2.20-2.23
F: 0.3147 0.3555 0.6737  1 Li 2.02, 3 Mn 2.18-2.22
F: 0.3333 0.6667 0.4676  3 Li 2.02, 1 Mn 2.14
F: 0.3333 0.6667 0.9665  3 Li 2.04, 1 Mn 2.14
F: 0.3525 0.0423 0.8272  1 Li 2.03, 3 Mn 2.19-2.23
F: 0.3571 0.3099 0.3290  1 Li 2.03, 3 Mn 2.18-2.25
F: 0.6438 0.6872 0.1748  1 Li 2.05, 3 Mn 2.20-2.23
F: 0.6445 0.9592 0.6737  1 Li 2.02, 3 Mn 2.18-2.22
F: 0.6667 0.3333 0.0346  3 Li 2.05, 1 Mn 2.14
F: 0.6667 0.3333 0.5355  3 Li 2.04, 1 Mn 2.14
F: 0.6901 0.0472 0.3290  1 Li 2.03, 3 Mn 2.18-2.25
F: 0.6899 0.6475 0.8272  1 Li 2.03, 3 Mn 2.19-2.23
F: 0.9528 0.6429 0.3290  1 Li 2.03, 3 Mn 2.18-2.25
F: 0.9577 0.3101 0.8272  1 Li 2.03, 3 Mn 2.19-2.23

***

Material: LiMn2F5
Method: DFT, PBE with a Hubbard U
State: relaxed

Calculated values
Distance to the lowest polymorph of the same formula ... 59 meV per atom
Uncorrected energy ... -380.51 eV/cell
ΔE_f ... -2.9255 eV/atom

a = 5.5206 Å, b = 10.9300 Å, c = 14.2984 Å
α = 90.00°, β = 110.55°, γ = 90.00°
Closest atoms and distances in Å follow each position.
Atoms (fractional coordinates):
Li: 0.0408 0.0659 0.2686  4 F 1.86-1.99
Li: 0.0408 0.4341 0.7686  4 F 1.86-1.99
Li: 0.2787 0.5843 0.4700  4 F 1.89-1.96
Li: 0.2787 0.9157 0.9700  4 F 1.89-1.96
Li: 0.7213 0.0843 0.0300  4 F 1.89-1.96
Li: 0.7213 0.4157 0.5300  4 F 1.89-1.96
Li: 0.9592 0.5659 0.2314  4 F 1.86-1.99
Li: 0.9592 0.9341 0.7314  4 F 1.86-1.99
Mn: 0.0897 0.6977 0.8375  5 F 2.09-2.19
Mn: 0.0897 0.8023 0.3375  5 F 2.09-2.19
Mn: 0.1654 0.2194 0.9551  6 F 2.08-2.29
Mn: 0.1654 0.2806 0.4551  6 F 2.08-2.29
Mn: 0.3607 0.5374 0.0876  6 F 2.05-2.26
Mn: 0.3607 0.9626 0.5876  6 F 2.05-2.26
Mn: 0.4278 0.0226 0.1745  6 F 2.09-2.32
Mn: 0.4278 0.4774 0.6745  6 F 2.09-2.32
Mn: 0.5722 0.5226 0.3255  6 F 2.09-2.32
Mn: 0.5722 0.9774 0.8255  6 F 2.09-2.32
Mn: 0.6393 0.0374 0.4124  6 F 2.05-2.26
Mn: 0.6393 0.4626 0.9124  6 F 2.05-2.26
Mn: 0.8346 0.7194 0.5449  6 F 2.08-2.29
Mn: 0.8346 0.7806 0.0449  6 F 2.08-2.29
Mn: 0.9103 0.1977 0.6625  5 F 2.09-2.19
Mn: 0.9103 0.3023 0.1625  5 F 2.09-2.19
F: 0.0264 0.2280 0.3062  1 Li 1.86, 1 Mn 2.08
F: 0.0264 0.2720 0.8062  1 Li 1.86, 1 Mn 2.08
F: 0.0437 0.1264 0.1380  2 Li 1.96-1.99, 1 Mn 2.13
F: 0.0437 0.3736 0.6380  2 Li 1.96-1.99, 1 Mn 2.13
F: 0.0951 0.6616 0.9876  3 Mn 2.14-2.29
F: 0.0951 0.8384 0.4876  3 Mn 2.14-2.29
F: 0.1495 0.5963 0.5754  1 Li 1.89
F: 0.1495 0.9037 0.0754  1 Li 1.89
F: 0.1860 0.0452 0.6946  1 Li 1.94
F: 0.1860 0.4548 0.1946  1 Li 1.94
F: 0.3041 0.5590 0.8003  1 Li 1.93, 1 Mn 2.10
F: 0.3041 0.9410 0.3003  1 Li 1.93, 1 Mn 2.10
F: 0.3466 0.0979 0.4764  3 Mn 2.15-2.22
F: 0.3466 0.4021 0.9764  3 Mn 2.15-2.22
F: 0.3612 0.0628 0.9124  2 Li 1.93-2.12
F: 0.3612 0.4372 0.4124  2 Li 1.93-2.12
F: 0.4782 0.6507 0.2101  2 Mn 2.05-2.09
F: 0.4782 0.8493 0.7101  2 Mn 2.05-2.09
F: 0.4816 0.6858 0.4112  1 Li 1.96
F: 0.4816 0.8142 0.9112  1 Li 1.96
F: 0.5184 0.1858 0.0888  1 Li 1.96
F: 0.5184 0.3142 0.5888  1 Li 1.96
F: 0.5218 0.1507 0.2899  2 Mn 2.05-2.09
F: 0.5218 0.3493 0.7899  2 Mn 2.05-2.09
F: 0.6388 0.5628 0.5876  2 Li 1.93-2.12
F: 0.6388 0.9372 0.0876  2 Li 1.93-2.12
F: 0.6534 0.5979 0.0236  3 Mn 2.15-2.22
F: 0.6534 0.9021 0.5236  3 Mn 2.15-2.22
F: 0.6959 0.0590 0.6997  1 Li 1.93, 1 Mn 2.10
F: 0.6959 0.4410 0.1997  1 Li 1.93, 1 Mn 2.10
F: 0.8140 0.5452 0.8054  1 Li 1.94
F: 0.8140 0.9548 0.3054  1 Li 1.94
F: 0.8505 0.0963 0.9246  1 Li 1.89
F: 0.8505 0.4037 0.4246  1 Li 1.89
F: 0.9049 0.1616 0.5124  3 Mn 2.14-2.29
F: 0.9049 0.3384 0.0124  3 Mn 2.14-2.29
F: 0.9563 0.6264 0.3620  2 Li 1.96-1.99, 1 Mn 2.13
F: 0.9563 0.8736 0.8620  2 Li 1.96-1.99, 1 Mn 2.13
F: 0.9736 0.7280 0.1938  1 Li 1.86, 1 Mn 2.08
F: 0.9736 0.7720 0.6938  1 Li 1.86, 1 Mn 2.08

***

Material: LiMnF3
Method: DFT, PBE with a Hubbard U
State: relaxed

Calculated values
Distance to the lowest polymorph of the same formula ... 82 meV per atom
Uncorrected energy ... -113.89 eV/cell
ΔE_f ... -2.9425 eV/atom

a = 7.8258 Å, b = 7.8258 Å, c = 7.8258 Å
α = 109.91°, β = 81.12°, γ = 144.46°
Closest atoms and distances in Å follow each position.
Atoms (fractional coordinates):
Li: 0.1140 0.2500 0.8640  4 F 1.86-1.88
Li: 0.3860 0.2500 0.1360  4 F 1.86-1.88
Li: 0.6140 0.7500 0.8640  4 F 1.86-1.88
Li: 0.8860 0.7500 0.1360  4 F 1.86-1.88
Mn: 0.1052 0.6426 0.7478  4 F 2.02-2.23
Mn: 0.3948 0.1426 0.5375  4 F 2.02-2.23
Mn: 0.6052 0.8574 0.4625  4 F 2.02-2.23
Mn: 0.8948 0.3574 0.2522  4 F 2.02-2.23
F: 0.0735 0.8640 0.9374  2 Li 1.86, 1 Mn 2.02
F: 0.0796 0.3978 0.4775  4 Mn 2.22-2.43
F: 0.2268 0.1081 0.3349  2 Li 1.88, 1 Mn 2.02
F: 0.2732 0.6081 0.8813  2 Li 1.88, 1 Mn 2.02
F: 0.4204 0.8978 0.3182  4 Mn 2.22-2.43
F: 0.4265 0.3640 0.7905  2 Li 1.86, 1 Mn 2.02
F: 0.5735 0.6360 0.2095  2 Li 1.86, 1 Mn 2.02
F: 0.5796 0.1022 0.6818  4 Mn 2.22-2.43
F: 0.7268 0.3919 0.1187  2 Li 1.88, 1 Mn 2.02
F: 0.7732 0.8919 0.6651  2 Li 1.88, 1 Mn 2.02
F: 0.9204 0.6022 0.5225  4 Mn 2.22-2.43
F: 0.9265 0.1360 0.0626  2 Li 1.86, 1 Mn 2.02

***

Question: Which of these has the lowest ΔE_f?
Answer: number 3